VASP calculation (r²SCAN) on a relaxed Y11In9Ni4 crystal.

Results
size of the total moment: 0.025 μB per cell
calculated total energy: -20.386 eV per atom
volume: 23.66 Å³ per atom

Cell: 14.389 21.619 3.651 Å, 90.00 90.00 90.00°
Space group Cmmm (No. 65)
One atom of each set of equivalent atoms:
Y (0.000, 0.000, 0.000) [2 per cell]
Y (0.000, 0.161, 0.000) [4 per cell]
Y (0.000, 0.375, 0.000) [4 per cell]
Y (0.188, 0.500, 0.000) [4 per cell]
Y (0.247, 0.168, 0.000) [8 per cell]
In (0.000, 0.500, 0.500) [2 per cell]
In (0.105, 0.264, 0.500) [8 per cell]
In (0.148, 0.071, 0.500) [8 per cell]
Ni (0.153, 0.399, 0.500) [8 per cell]



VASP calculation (r²SCAN) on a relaxed YbIn2Rh crystal.

Results
size of the total moment: 0.000 μB per cell
calculated total energy: -27.156 eV per atom
volume: 21.17 Å³ per atom

Cell: 4.164 9.924 8.196 Å, 90.00 90.00 90.00°
Space group Cmcm (No. 63)
One atom of each set of equivalent atoms:
Yb (0.000, 0.068, 0.250) [4 per cell]
In (0.000, 0.356, 0.049) [8 per cell]
Rh (0.000, 0.223, 0.750) [4 per cell]



VASP calculation (r²SCAN) on a relaxed Al11Co6Si6 crystal.

Results
size of the total moment: 0.000 μB per cell
calculated total energy: -9.338 eV per atom
volume: 13.29 Å³ per atom

Cell: 8.009 21.150 8.250 Å, 90.00 118.92 90.00°
Space group P2_1/c (No. 14)
One atom of each set of equivalent atoms:
Al (0.025, 0.204, 0.315) [4 per cell]
Al (0.089, 0.668, 0.896) [4 per cell]
Al (0.099, 0.533, 0.943) [4 per cell]
Al (0.156, 0.718, 0.572) [4 per cell]
Al (0.215, 0.568, 0.692) [4 per cell]
Al (0.241, 0.616, 0.237) [4 per cell]
Al (0.266, 0.120, 0.286) [4 per cell]
Al (0.273, 0.063, 0.805) [4 per cell]
Al (0.343, 0.230, 0.942) [4 per cell]
Al (0.410, 0.037, 0.565) [4 per cell]
Al (0.461, 0.703, 0.189) [4 per cell]
Co (0.102, 0.088, 0.464) [4 per cell]
Co (0.127, 0.041, 0.001) [4 per cell]
Co (0.188, 0.226, 0.129) [4 per cell]
Co (0.311, 0.729, 0.382) [4 per cell]
Co (0.381, 0.543, 0.510) [4 per cell]
Co (0.389, 0.589, 0.037) [4 per cell]
Si (0.035, 0.546, 0.324) [4 per cell]
Si (0.100, 0.144, 0.936) [4 per cell]
Si (0.277, 0.171, 0.642) [4 per cell]
Si (0.413, 0.670, 0.870) [4 per cell]
Si (0.420, 0.646, 0.578) [4 per cell]
Si (0.461, 0.046, 0.176) [4 per cell]



VASP calculation (r²SCAN) on a relaxed In3Sn crystal.

Results
size of the total moment: 0.000 μB per cell
calculated total energy: -23.059 eV per atom
volume: 26.95 Å³ per atom

Cell: 4.759 4.759 4.759 Å, 90.00 90.00 90.00°
Space group Pm-3m (No. 221)
One atom of each set of equivalent atoms:
In (0.000, 0.000, 0.500) [3 per cell]
Sn (0.500, 0.500, 0.500) [1 per cell]



VASP calculation (r²SCAN) on a relaxed CaPr2Te4 crystal.

Results
size of the total moment: 0.000 μB per cell
calculated total energy: -25.685 eV per atom
volume: 32.00 Å³ per atom

Cell: 9.600 9.600 9.724 Å, 90.00 90.00 90.00°
Space group I-42d (No. 122)
One atom of each set of equivalent atoms:
Ca (0.000, 0.000, 0.000) [4 per cell]
Pr (0.125, 0.250, 0.625) [8 per cell]
Te (0.073, 0.180, 0.304) [16 per cell]



VASP calculation (r²SCAN) on a relaxed SiO2 crystal.

Results
size of the total moment: 0.000 μB per cell
calculated total energy: -9.922 eV per atom
volume: 22.94 Å³ per atom

Cell: 14.894 14.894 14.894 Å, 90.00 90.00 90.00°
Space group Im-3m (No. 229)
One atom of each set of equivalent atoms:
Si (0.104, 0.250, 0.396) [48 per cell]
O (0.000, 0.223, 0.380) [48 per cell]
O (0.130, 0.335, 0.335) [48 per cell]



VASP calculation (r²SCAN) on a relaxed Cs5YO4 crystal.

Results
excess energy over the best structure of this formula in the dataset: 0.22 eV per formula unit
size of the total moment: 0.000 μB per cell
calculated total energy: -18.777 eV per atom
volume: 28.97 Å³ per atom

Cell: 8.461 9.834 6.962 Å, 90.00 90.00 90.00°
Space group Pmmn (No. 59, origin choice 2)
One atom of each set of equivalent atoms:
Cs (0.013, 0.063, 0.242) [8 per cell]
Cs (0.250, 0.750, 0.340) [2 per cell]
Y (0.250, 0.250, 0.719) [2 per cell]
O (0.032, 0.250, 0.882) [4 per cell]
O (0.250, 0.065, 0.548) [4 per cell]



VASP calculation (r²SCAN) on a relaxed YbEuTl2 crystal.

Results
size of the total moment: 29.069 μB per cell
calculated total energy: -45.788 eV per atom
volume: 28.14 Å³ per atom

Cell: 7.665 7.665 7.665 Å, 90.00 90.00 90.00°
Space group Fm-3m (No. 225)
One atom of each set of equivalent atoms:
Yb (0.000, 0.000, 0.000) [4 per cell]
Eu (0.000, 0.000, 0.500) [4 per cell]
Tl (0.250, 0.250, 0.250) [8 per cell]



VASP calculation (r²SCAN) on a relaxed PbO crystal.

Results
size of the total moment: 0.000 μB per cell
calculated total energy: -32.374 eV per atom
volume: 20.27 Å³ per atom

Cell: 6.101 5.621 4.728 Å, 90.00 90.00 90.00°
Space group Pbcm (No. 57)
One atom of each set of equivalent atoms:
Pb (0.223, 0.015, 0.250) [4 per cell]
O (0.128, 0.095, 0.750) [4 per cell]



VASP calculation (r²SCAN) on a relaxed Sb3Ir crystal.

Results
size of the total moment: 0.000 μB per cell
calculated total energy: -32.785 eV per atom
volume: 25.36 Å³ per atom

Cell: 9.327 9.327 9.327 Å, 90.00 90.00 90.00°
Space group Im-3 (No. 204)
One atom of each set of equivalent atoms:
Sb (0.000, 0.154, 0.340) [24 per cell]
Ir (0.250, 0.250, 0.250) [8 per cell]



VASP calculation (r²SCAN) on a relaxed BaNiF4 crystal.

Results
size of the total moment: 8.000 μB per cell
calculated total energy: -11.686 eV per atom
volume: 14.56 Å³ per atom

Cell: 4.177 14.397 5.811 Å, 90.00 90.00 90.00°
Space group Cmc2_1 (No. 36)
One atom of each set of equivalent atoms:
Ba (0.000, 0.143, 0.000) [4 per cell]
Ni (0.000, 0.411, 0.964) [4 per cell]
F (0.000, 0.079, 0.462) [4 per cell]
F (0.000, 0.302, 0.763) [4 per cell]
F (0.000, 0.330, 0.232) [4 per cell]
F (0.000, 0.475, 0.654) [4 per cell]



VASP calculation (r²SCAN) on a relaxed V2PO5 crystal.

Results
size of the total moment: 20.000 μB per cell
calculated total energy: -10.941 eV per atom
volume: 11.23 Å³ per atom

Cell: 7.625 7.625 7.259 Å, 90.00 121.65 90.00°
Space group C2/c (No. 15)
One atom of each set of equivalent atoms:
V (0.000, 0.000, 0.000) [4 per cell]
V (0.250, 0.250, 0.000) [4 per cell]
P (0.000, 0.375, 0.250) [4 per cell]
O (0.000, 0.124, 0.750) [4 per cell]
O (0.050, 0.257, 0.114) [8 per cell]
O (0.187, 0.494, 0.383) [8 per cell]



VASP calculation (r²SCAN) on a relaxed Gd2CBr crystal.

Results
size of the total moment: 29.404 μB per cell
calculated total energy: -28.623 eV per atom
volume: 21.56 Å³ per atom

Cell: 3.7359 3.7359 14.2722 Å, 90.00 90.00 120.00°
Space group P6_3/mmc (No. 194)
One atom of each set of equivalent atoms:
Gd (0.3333, 0.6667, 0.0901) [4 per cell]
C (0.0000, 0.0000, 0.0000) [2 per cell]
Br (0.3333, 0.6667, 0.7500) [2 per cell]



VASP calculation (r²SCAN) on a relaxed NdEuNiSbO6 crystal.

Results
size of the total moment: 35.293 μB per cell
calculated total energy: -16.519 eV per atom
volume: 12.32 Å³ per atom

Cell: 7.899 7.899 7.899 Å, 90.00 90.00 90.00°
Space group F-43m (No. 216)
One atom of each set of equivalent atoms:
Nd (0.000, 0.000, 0.000) [4 per cell]
Eu (0.000, 0.000, 0.500) [4 per cell]
Ni (0.250, 0.250, 0.750) [4 per cell]
Sb (0.250, 0.250, 0.250) [4 per cell]
O (0.003, 0.250, 0.250) [24 per cell]